{"formula": "ZrPb2O6", "functional": "GGA-PBE", "state": "relaxed", "formation_enthalpy_0k_ev_per_atom": -1.921, "lattice_angstrom": [[-2.327, -3.650, -4.022], [8.072, -2.350, -2.538], [0.008, -8.360, 7.583]], "species": ["O", "O", "O", "O", "O", "O", "O", "O", "O", "O", "O", "O", "O", "O", "O", "O", "O", "O", "O", "O", "O", "O", "O", "O", "Pb", "Pb", "Pb", "Pb", "Pb", "Pb", "Pb", "Pb", "Zr", "Zr", "Zr", "Zr"], "fractional_positions": [[0.142, 0.048, 0.713], [0.639, 0.234, 0.013], [0.642, 0.952, 0.787], [0.191, 0.449, 0.497], [0.691, 0.813, 0.507], [0.522, 0.642, 0.217], [0.753, 0.061, 0.286], [0.022, 0.358, 0.283], [0.993, 0.808, 0.990], [0.421, 0.630, 0.856], [0.253, 0.939, 0.214], [0.405, 0.283, 0.767], [0.178, 0.512, 0.065], [0.493, 0.192, 0.510], [0.036, 0.684, 0.239], [0.921, 0.370, 0.644], [0.536, 0.316, 0.261], [0.495, 0.891, 0.004], [0.995, 0.109, 0.496], [0.678, 0.488, 0.435], [0.691, 0.551, 0.003], [0.905, 0.717, 0.733], [0.191, 0.187, 0.993], [0.139, 0.766, 0.487], [0.394, 0.408, 0.936], [0.330, 0.515, 0.336], [0.830, 0.485, 0.164], [0.970, 0.886, 0.349], [0.863, 0.939, 0.635], [0.894, 0.592, 0.564], [0.363, 0.061, 0.865], [0.470, 0.114, 0.151], [0.222, 0.252, 0.609], [0.755, 0.257, 0.414], [0.722, 0.748, 0.891], [0.255, 0.743, 0.086]]}